[1]
# Li3MnVP3O12 | Materials Project | PBE+U | optimized geometry
# DFT total energy (Ha/atom): -0.2571
# Space group: C2/c (15)
# Formation energy from the elements (eV/atom): -2.5967
# Offset from the most stable computed form (meV per atom): 58.7
# V (A^3/atom): 10.4
data_Li3MnVP3O12
_chemical_formula_sum 'Li12 Mn4 V4 P12 O48'
_space_group_name_H-M_alt 'P 1'
_space_group_IT_number 1
_space_group_name_Hall 'P 1'
_cell_length_a 10.3112
_cell_length_b 10.3112
_cell_length_c 10.0792
_cell_angle_alpha 109.17
_cell_angle_beta 109.17
_cell_angle_gamma 108.98
loop_
_atom_site_label
_atom_site_type_symbol
_atom_site_fract_x
_atom_site_fract_y
_atom_site_fract_z
_atom_site_occupancy
Li1 Li 0.1169 0.8831 0.7500 1
Li2 Li 0.1218 0.2442 0.8726 1
Li3 Li 0.2442 0.1218 0.3726 1
Li4 Li 0.2519 0.6215 0.8826 1
Li5 Li 0.3631 0.6369 0.2500 1
Li6 Li 0.3785 0.7481 0.6174 1
Li7 Li 0.6215 0.2519 0.3826 1
Li8 Li 0.6369 0.3631 0.7500 1
Li9 Li 0.7481 0.3785 0.1174 1
Li10 Li 0.7558 0.8782 0.6274 1
Li11 Li 0.8782 0.7558 0.1274 1
Li12 Li 0.8831 0.1169 0.2500 1
Mn1 Mn 0.0000 0.0000 0.0000 1
Mn2 Mn 0.0000 0.0000 0.5000 1
Mn3 Mn 0.0000 0.5000 0.0000 1
Mn4 Mn 0.5000 0.0000 0.5000 1
V1 V 0.0000 0.5000 0.5000 1
V2 V 0.5000 0.0000 0.0000 1
V3 V 0.5000 0.5000 0.0000 1
V4 V 0.5000 0.5000 0.5000 1
P1 P 0.1243 0.7431 0.3701 1
P2 P 0.1269 0.3772 0.2520 1
P3 P 0.2486 0.3775 0.6241 1
P4 P 0.2569 0.8757 0.1299 1
P5 P 0.3772 0.1269 0.7520 1
P6 P 0.3775 0.2486 0.1241 1
P7 P 0.6225 0.7514 0.8759 1
P8 P 0.6228 0.8731 0.2480 1
P9 P 0.7431 0.1243 0.8701 1
P10 P 0.7514 0.6225 0.3759 1
P11 P 0.8731 0.6228 0.7480 1
P12 P 0.8757 0.2569 0.6299 1
O1 O 0.0024 0.6086 0.7008 1
O2 O 0.0067 0.3961 0.8041 1
O3 O 0.0916 0.8791 0.3777 1
O4 O 0.0930 0.2097 0.2156 1
O5 O 0.1087 0.6970 0.5022 1
O6 O 0.1111 0.4068 0.1058 1
O7 O 0.1161 0.2108 0.4952 1
O8 O 0.1209 0.9084 0.1223 1
O9 O 0.2017 0.5082 0.6155 1
O10 O 0.2097 0.0930 0.7156 1
O11 O 0.2108 0.1161 0.9952 1
O12 O 0.2217 0.7065 0.0929 1
O13 O 0.2921 0.4157 0.8011 1
O14 O 0.2935 0.7783 0.4071 1
O15 O 0.2972 0.5059 0.3863 1
O16 O 0.3030 0.8913 0.9978 1
O17 O 0.3901 0.3913 0.5931 1
O18 O 0.3913 0.3901 0.0931 1
O19 O 0.3914 0.9976 0.7992 1
O20 O 0.3961 0.0067 0.3041 1
O21 O 0.4068 0.1111 0.6058 1
O22 O 0.4157 0.2921 0.3011 1
O23 O 0.4918 0.7983 0.8845 1
O24 O 0.4941 0.7028 0.1137 1
O25 O 0.5059 0.2972 0.8863 1
O26 O 0.5082 0.2017 0.1155 1
O27 O 0.5843 0.7079 0.6989 1
O28 O 0.5932 0.8889 0.3942 1
O29 O 0.6039 0.9933 0.6959 1
O30 O 0.6086 0.0024 0.2008 1
O31 O 0.6087 0.6099 0.9069 1
O32 O 0.6099 0.6087 0.4069 1
O33 O 0.6970 0.1087 0.0022 1
O34 O 0.7028 0.4941 0.6137 1
O35 O 0.7065 0.2217 0.5929 1
O36 O 0.7079 0.5843 0.1989 1
O37 O 0.7783 0.2935 0.9071 1
O38 O 0.7892 0.8839 0.0048 1
O39 O 0.7903 0.9070 0.2844 1
O40 O 0.7983 0.4918 0.3845 1
O41 O 0.8791 0.0916 0.8777 1
O42 O 0.8839 0.7892 0.5048 1
O43 O 0.8889 0.5932 0.8942 1
O44 O 0.8913 0.3030 0.4978 1
O45 O 0.9070 0.7903 0.7844 1
O46 O 0.9084 0.1209 0.6223 1
O47 O 0.9933 0.6039 0.1959 1
O48 O 0.9976 0.3914 0.2992 1

---

[2]
# Li3MnVP3O12 | Materials Project | PBE+U | optimized geometry
# DFT total energy (Ha/atom): -0.2588
# Space group: P-1 (2)
# Formation energy from the elements (eV/atom): -2.6439
# Offset from the most stable computed form (meV per atom): 11.5
# V (A^3/atom): 12.1
data_Li3MnVP3O12
_chemical_formula_sum 'Li6 Mn2 V2 P6 O24'
_space_group_name_H-M_alt 'P 1'
_space_group_IT_number 1
_space_group_name_Hall 'P 1'
_cell_length_a 8.3886
_cell_length_b 8.4195
_cell_length_c 9.2341
_cell_angle_alpha 116.84
_cell_angle_beta 90.35
_cell_angle_gamma 119.55
loop_
_atom_site_label
_atom_site_type_symbol
_atom_site_fract_x
_atom_site_fract_y
_atom_site_fract_z
_atom_site_occupancy
Li1 Li 0.1784 0.1235 0.3747 1
Li2 Li 0.2548 0.6956 0.8740 1
Li3 Li 0.3203 0.5585 0.1364 1
Li4 Li 0.6797 0.4415 0.8636 1
Li5 Li 0.7452 0.3044 0.1260 1
Li6 Li 0.8216 0.8765 0.6253 1
Mn1 Mn 0.1403 0.7842 0.4348 1
Mn2 Mn 0.8597 0.2158 0.5652 1
V1 V 0.3441 0.1854 0.0331 1
V2 V 0.6559 0.8146 0.9669 1
P1 P 0.0491 0.2790 0.2445 1
P2 P 0.2633 0.3106 0.7595 1
P3 P 0.4597 0.0086 0.2474 1
P4 P 0.5403 0.9914 0.7526 1
P5 P 0.7367 0.6894 0.2405 1
P6 P 0.9509 0.7210 0.7555 1
O1 O 0.0502 0.2874 0.4130 1
O2 O 0.1311 0.4915 0.2529 1
O3 O 0.1391 0.3967 0.7641 1
O4 O 0.1633 0.8747 0.8783 1
O5 O 0.1708 0.1834 0.1702 1
O6 O 0.2123 0.1216 0.5854 1
O7 O 0.2331 0.2420 0.8969 1
O8 O 0.2608 0.9194 0.2736 1
O9 O 0.3749 0.8612 0.5974 1
O10 O 0.4565 0.8092 0.0995 1
O11 O 0.4817 0.4937 0.8208 1
O12 O 0.4834 0.1523 0.1702 1
O13 O 0.5166 0.8477 0.8298 1
O14 O 0.5183 0.5063 0.1792 1
O15 O 0.5435 0.1908 0.9005 1
O16 O 0.6251 0.1388 0.4026 1
O17 O 0.7392 0.0806 0.7264 1
O18 O 0.7669 0.7580 0.1031 1
O19 O 0.7877 0.8784 0.4146 1
O20 O 0.8292 0.8166 0.8298 1
O21 O 0.8367 0.1253 0.1217 1
O22 O 0.8609 0.6033 0.2359 1
O23 O 0.8689 0.5085 0.7471 1
O24 O 0.9498 0.7126 0.5870 1

---

[3]
# Li6MnV3P6O24 | Materials Project | PBE+U | optimized geometry
# DFT total energy (Ha/atom): -0.2602
# Space group: P1 (1)
# Formation energy from the elements (eV/atom): -2.6839
# Offset from the most stable computed form (meV per atom): 2.3
# V (A^3/atom): 11.7
data_Li6MnV3P6O24
_chemical_formula_sum 'Li12 Mn2 V6 P12 O48'
_space_group_name_H-M_alt 'P 1'
_space_group_IT_number 1
_space_group_name_Hall 'P 1'
_cell_length_a 8.7269
_cell_length_b 8.7602
_cell_length_c 12.2627
_cell_angle_alpha 89.95
_cell_angle_beta 89.24
_cell_angle_gamma 89.80
loop_
_atom_site_label
_atom_site_type_symbol
_atom_site_fract_x
_atom_site_fract_y
_atom_site_fract_z
_atom_site_occupancy
Li1 Li 0.0000 0.0000 0.0000 1
Li2 Li 0.0049 0.6079 0.9385 1
Li3 Li 0.1600 0.8000 0.5434 1
Li4 Li 0.1654 0.4099 0.4823 1
Li5 Li 0.2918 0.4781 0.0629 1
Li6 Li 0.3686 0.9770 0.9203 1
Li7 Li 0.4965 0.9076 0.5006 1
Li8 Li 0.5035 0.3030 0.4388 1
Li9 Li 0.6573 0.1078 0.0434 1
Li10 Li 0.6635 0.5003 0.9824 1
Li11 Li 0.7918 0.4324 0.5625 1
Li12 Li 0.8704 0.9317 0.4199 1
Mn1 Mn 0.3269 0.1619 0.1307 1
Mn2 Mn 0.3369 0.7377 0.3477 1
V1 V 0.3272 0.2355 0.6316 1
V2 V 0.3339 0.6631 0.8526 1
V3 V 0.8273 0.6743 0.1306 1
V4 V 0.8274 0.7459 0.6296 1
V5 V 0.8340 0.2475 0.3522 1
V6 V 0.8351 0.1736 0.8511 1
P1 P 0.0419 0.4566 0.7347 1
P2 P 0.1198 0.9524 0.7471 1
P3 P 0.1848 0.8021 0.0891 1
P4 P 0.1880 0.0917 0.3860 1
P5 P 0.4739 0.3029 0.8914 1
P6 P 0.4757 0.5927 0.5963 1
P7 P 0.5409 0.4568 0.2347 1
P8 P 0.6196 0.9575 0.2478 1
P9 P 0.6859 0.8172 0.8880 1
P10 P 0.6872 0.1063 0.5923 1
P11 P 0.9758 0.3167 0.0942 1
P12 P 0.9767 0.6065 0.3892 1
O1 O 0.0060 0.8086 0.0876 1
O2 O 0.0131 0.1097 0.4061 1
O3 O 0.0171 0.0314 0.8343 1
O4 O 0.0302 0.8398 0.6750 1
O5 O 0.1311 0.5695 0.8062 1
O6 O 0.1449 0.3774 0.6473 1
O7 O 0.1510 0.2998 0.0745 1
O8 O 0.1556 0.5980 0.3928 1
O9 O 0.1965 0.0626 0.6648 1
O10 O 0.2244 0.1160 0.2645 1
O11 O 0.2287 0.6772 0.0019 1
O12 O 0.2329 0.9249 0.4205 1
O13 O 0.2344 0.9621 0.0488 1
O14 O 0.2480 0.8703 0.8105 1
O15 O 0.2517 0.7553 0.1968 1
O16 O 0.2750 0.2112 0.4567 1
O17 O 0.3867 0.7143 0.5296 1
O18 O 0.4090 0.2554 0.7831 1
O19 O 0.4138 0.3783 0.1712 1
O20 O 0.4227 0.4645 0.9292 1
O21 O 0.4287 0.1793 0.9802 1
O22 O 0.4315 0.4265 0.5609 1
O23 O 0.4363 0.6150 0.7169 1
O24 O 0.4702 0.5665 0.3218 1
O25 O 0.5086 0.0999 0.5893 1
O26 O 0.5115 0.7998 0.9082 1
O27 O 0.5186 0.8789 0.3362 1
O28 O 0.5300 0.0712 0.1751 1
O29 O 0.6300 0.3419 0.3071 1
O30 O 0.6461 0.5343 0.1484 1
O31 O 0.6505 0.6095 0.5751 1
O32 O 0.6525 0.3085 0.8939 1
O33 O 0.6962 0.8480 0.1658 1
O34 O 0.7284 0.7910 0.7682 1
O35 O 0.7303 0.9832 0.9223 1
O36 O 0.7317 0.2295 0.5039 1
O37 O 0.7394 0.9448 0.5536 1
O38 O 0.7469 0.0409 0.3117 1
O39 O 0.7524 0.1536 0.7002 1
O40 O 0.7739 0.6967 0.9583 1
O41 O 0.8882 0.1967 0.0242 1
O42 O 0.9106 0.6537 0.2814 1
O43 O 0.9140 0.5383 0.6705 1
O44 O 0.9236 0.4442 0.4272 1
O45 O 0.9312 0.4825 0.0597 1
O46 O 0.9307 0.7288 0.4775 1
O47 O 0.9331 0.2902 0.2142 1
O48 O 0.9651 0.3469 0.8170 1

---

[4]
# Li6MnV3P6O24 | Materials Project | PBE+U | optimized geometry
# DFT total energy (Ha/atom): -0.2589
# Space group: P1 (1)
# Formation energy from the elements (eV/atom): -2.6486
# Offset from the most stable computed form (meV per atom): 37.5
# V (A^3/atom): 10.8
data_Li6MnV3P6O24
_chemical_formula_sum 'Li12 Mn2 V6 P12 O48'
_space_group_name_H-M_alt 'P 1'
_space_group_IT_number 1
_space_group_name_Hall 'P 1'
_cell_length_a 6.3711
_cell_length_b 8.6296
_cell_length_c 16.6746
_cell_angle_alpha 79.32
_cell_angle_beta 84.42
_cell_angle_gamma 74.01
loop_
_atom_site_label
_atom_site_type_symbol
_atom_site_fract_x
_atom_site_fract_y
_atom_site_fract_z
_atom_site_occupancy
Li1 Li 0.0000 0.0000 0.0000 1
Li2 Li 0.9999 0.0009 0.4990 1
Li3 Li 0.0010 0.4967 0.7474 1
Li4 Li 0.1452 0.2123 0.1060 1
Li5 Li 0.3579 0.7898 0.3929 1
Li6 Li 0.4990 0.9999 0.0006 1
Li7 Li 0.4995 0.5078 0.7511 1
Li8 Li 0.5002 0.9999 0.4994 1
Li9 Li 0.5051 0.4962 0.2463 1
Li10 Li 0.6440 0.2148 0.6048 1
Li11 Li 0.8557 0.7885 0.8940 1
Li12 Li 0.9966 0.5050 0.2523 1
Mn1 Mn 0.6467 0.8751 0.2209 1
Mn2 Mn 0.8040 0.5587 0.5625 1
V1 V 0.1369 0.8817 0.7213 1
V2 V 0.2006 0.4439 0.4386 1
V3 V 0.3007 0.5569 0.0594 1
V4 V 0.3611 0.1220 0.7785 1
V5 V 0.7010 0.4422 0.9392 1
V6 V 0.8618 0.1226 0.2785 1
P1 P 0.1430 0.2158 0.6058 1
P2 P 0.1834 0.8403 0.1807 1
P3 P 0.2165 0.3634 0.9188 1
P4 P 0.2837 0.6388 0.5799 1
P5 P 0.3174 0.1652 0.3192 1
P6 P 0.3567 0.7870 0.8929 1
P7 P 0.6431 0.2127 0.1076 1
P8 P 0.6810 0.8395 0.6834 1
P9 P 0.7188 0.3614 0.4178 1
P10 P 0.7847 0.6333 0.0801 1
P11 P 0.8171 0.1617 0.8184 1
P12 P 0.8567 0.7867 0.3928 1
O1 O 0.0148 0.5105 0.0772 1
O2 O 0.0499 0.1025 0.7744 1
O3 O 0.0869 0.6733 0.3781 1
O4 O 0.1126 0.0400 0.6183 1
O5 O 0.1254 0.5494 0.5491 1
O6 O 0.1541 0.1607 0.2562 1
O7 O 0.1933 0.9576 0.1015 1
O8 O 0.1969 0.7602 0.8355 1
O9 O 0.2161 0.6594 0.6713 1
O10 O 0.2177 0.6576 0.1704 1
O11 O 0.2255 0.2053 0.9774 1
O12 O 0.2506 0.2374 0.5185 1
O13 O 0.2505 0.7636 0.9808 1
O14 O 0.2684 0.3498 0.3292 1
O15 O 0.2735 0.7972 0.5215 1
O16 O 0.2792 0.3437 0.8271 1
O17 O 0.3002 0.2439 0.6639 1
O18 O 0.3060 0.0461 0.3978 1
O19 O 0.3518 0.8381 0.2432 1
O20 O 0.3759 0.4511 0.9486 1
O21 O 0.3854 0.9632 0.8814 1
O22 O 0.4128 0.3287 0.1208 1
O23 O 0.4468 0.9030 0.7257 1
O24 O 0.4905 0.4872 0.4201 1
O25 O 0.5131 0.5132 0.5814 1
O26 O 0.5506 0.1137 0.2766 1
O27 O 0.5878 0.6726 0.8796 1
O28 O 0.6111 0.0367 0.1198 1
O29 O 0.6250 0.5479 0.0484 1
O30 O 0.6516 0.1618 0.7557 1
O31 O 0.6914 0.7632 0.3351 1
O32 O 0.6939 0.9526 0.6028 1
O33 O 0.7173 0.6548 0.6781 1
O34 O 0.7228 0.6446 0.1722 1
O35 O 0.7273 0.2039 0.4775 1
O36 O 0.7463 0.2356 0.0190 1
O37 O 0.7483 0.7613 0.4806 1
O38 O 0.7728 0.3411 0.3256 1
O39 O 0.7728 0.7944 0.0232 1
O40 O 0.7785 0.3450 0.8285 1
O41 O 0.8063 0.0443 0.8976 1
O42 O 0.8056 0.2408 0.1633 1
O43 O 0.8466 0.8449 0.7450 1
O44 O 0.8835 0.4469 0.4434 1
O45 O 0.8856 0.9623 0.3820 1
O46 O 0.9079 0.3295 0.6182 1
O47 O 0.9498 0.9015 0.2255 1
O48 O 0.9878 0.4888 0.9188 1

---

Q: Which formula does entry 4 have?
A: Li6MnV3P6O24

---

Q: The lowest DFT total energy belongs to which entry?
A: number 3